(1)
Density functional theory data (PBE-GGA) for a relaxed structure of Ca4P2O9.

abc: 7.069 12.102 9.556
angles: 90.00 90.98 90.00
Element x y z (fractional)
Ca (0.010, 0.000, 0.365)
Ca (0.033, 0.226, 0.896)
Ca (0.230, 0.766, 0.472)
Ca (0.250, 0.490, 0.012)
Ca (0.259, 0.965, 0.741)
Ca (0.270, 0.269, 0.251)
Ca (0.467, 0.773, 0.103)
Ca (0.485, 0.017, 0.410)
Ca (0.515, 0.517, 0.590)
Ca (0.533, 0.273, 0.897)
Ca (0.730, 0.769, 0.749)
Ca (0.741, 0.465, 0.259)
Ca (0.750, 0.990, 0.988)
Ca (0.770, 0.266, 0.528)
Ca (0.967, 0.726, 0.104)
Ca (0.990, 0.500, 0.635)
P (0.233, 0.678, 0.786)
P (0.236, 0.993, 0.090)
P (0.237, 0.529, 0.318)
P (0.289, 0.245, 0.624)
P (0.711, 0.745, 0.376)
P (0.763, 0.029, 0.682)
P (0.764, 0.493, 0.910)
P (0.767, 0.178, 0.214)
O (0.044, 0.703, 0.706)
O (0.077, 0.453, 0.264)
O (0.081, 0.043, 0.993)
O (0.096, 0.307, 0.623)
O (0.161, 0.884, 0.158)
O (0.215, 0.566, 0.473)
O (0.230, 0.706, 0.944)
O (0.233, 0.942, 0.509)
O (0.245, 0.636, 0.226)
O (0.266, 0.308, 0.016)
O (0.270, 0.550, 0.774)
O (0.286, 0.071, 0.214)
O (0.286, 0.161, 0.749)
O (0.327, 0.187, 0.484)
O (0.386, 0.747, 0.712)
O (0.411, 0.964, 0.001)
O (0.420, 0.460, 0.306)
O (0.458, 0.326, 0.658)
O (0.542, 0.826, 0.342)
O (0.580, 0.960, 0.694)
O (0.589, 0.464, 0.999)
O (0.614, 0.247, 0.288)
O (0.673, 0.687, 0.516)
O (0.714, 0.571, 0.786)
O (0.714, 0.661, 0.251)
O (0.730, 0.050, 0.226)
O (0.734, 0.808, 0.984)
O (0.755, 0.136, 0.774)
O (0.767, 0.442, 0.491)
O (0.770, 0.206, 0.056)
O (0.785, 0.066, 0.527)
O (0.839, 0.384, 0.842)
O (0.904, 0.807, 0.377)
O (0.919, 0.543, 0.007)
O (0.923, 0.953, 0.736)
O (0.956, 0.203, 0.294)

- Space group: P2_1 (4)
- E (MP2020): -453.104 eV per cell

***

(2)
Density functional theory data (PBE-GGA) for a relaxed structure of Li5Br3O2.

abc: 11.069 11.069 11.069
angles: 159.35 159.35 29.37
Element x y z (fractional)
Li (0.000, 0.000, 0.000)
Li (0.186, 0.186, 0.000)
Li (0.593, 0.093, 0.500)
Li (0.814, 0.814, 0.000)
Li (0.907, 0.407, 0.500)
Br (0.313, 0.313, 0.000)
Br (0.500, 0.500, 0.000)
Br (0.687, 0.687, 0.000)
O (0.093, 0.093, 0.000)
O (0.907, 0.907, 0.000)

- Space group: I-4m2 (119)
- E (MP2020): -38.807 eV per cell

***

(3)
Density functional theory data (PBE-GGA) for a relaxed structure of RbReN2.

abc: 8.106 6.245 12.357
angles: 90.00 90.00 90.00
Element x y z (fractional)
Rb (0.115, 0.104, 0.250)
Rb (0.115, 0.396, 0.750)
Rb (0.370, 0.250, 0.000)
Rb (0.370, 0.250, 0.500)
Rb (0.630, 0.750, 0.000)
Rb (0.630, 0.750, 0.500)
Rb (0.885, 0.604, 0.250)
Rb (0.885, 0.896, 0.750)
Re (0.129, 0.750, 0.000)
Re (0.129, 0.750, 0.500)
Re (0.383, 0.655, 0.250)
Re (0.383, 0.845, 0.750)
Re (0.617, 0.155, 0.250)
Re (0.617, 0.345, 0.750)
Re (0.871, 0.250, 0.000)
Re (0.871, 0.250, 0.500)
N (0.000, 0.000, 0.000)
N (0.000, 0.000, 0.500)
N (0.000, 0.500, 0.000)
N (0.000, 0.500, 0.500)
N (0.263, 0.710, 0.124)
N (0.263, 0.710, 0.376)
N (0.263, 0.790, 0.624)
N (0.263, 0.790, 0.876)
N (0.447, 0.138, 0.750)
N (0.447, 0.362, 0.250)
N (0.553, 0.638, 0.750)
N (0.553, 0.862, 0.250)
N (0.737, 0.210, 0.124)
N (0.737, 0.210, 0.376)
N (0.737, 0.290, 0.624)
N (0.737, 0.290, 0.876)

- Space group: Pbcm (57)
- E (MP2020): -252.580 eV per cell

***

(4)
Density functional theory data (PBE-GGA) for a relaxed structure of Mg4Ti3.

abc: 8.063 8.063 4.954
angles: 90.00 90.00 120.00
Element x y z (fractional)
Mg (0.053, 0.804, 0.250)
Mg (0.196, 0.249, 0.250)
Mg (0.249, 0.053, 0.750)
Mg (0.333, 0.667, 0.250)
Mg (0.667, 0.333, 0.750)
Mg (0.751, 0.947, 0.250)
Mg (0.804, 0.751, 0.750)
Mg (0.947, 0.196, 0.750)
Ti (0.109, 0.621, 0.750)
Ti (0.379, 0.488, 0.750)
Ti (0.488, 0.109, 0.250)
Ti (0.512, 0.891, 0.750)
Ti (0.621, 0.512, 0.250)
Ti (0.891, 0.379, 0.250)

- E above lowest polymorph: 4.4 kJ per mole of atoms
- Space group: P6_3/m (176)

***

(5)
Density functional theory data (PBE-GGA) for a relaxed structure of Na10NbAl7P12O48.

abc: 8.578 14.845 21.695
angles: 90.03 90.01 90.01
Element x y z (fractional)
Na (0.000, 0.000, 0.000)
Na (0.000, 0.333, 0.668)
Na (0.001, 0.698, 0.669)
Na (0.002, 0.033, 0.337)
Na (0.047, 0.015, 0.668)
Na (0.051, 0.348, 0.337)
Na (0.174, 0.516, 0.916)
Na (0.176, 0.846, 0.581)
Na (0.182, 0.182, 0.751)
Na (0.182, 0.524, 0.419)
Na (0.188, 0.845, 0.081)
Na (0.193, 0.182, 0.256)
Na (0.318, 0.016, 0.169)
Na (0.363, 0.001, 0.500)
Na (0.363, 0.364, 0.500)
Na (0.365, 0.698, 0.169)
Na (0.366, 0.333, 0.169)
Na (0.500, 0.500, 0.000)
Na (0.500, 0.833, 0.669)
Na (0.501, 0.198, 0.668)
Na (0.548, 0.516, 0.669)
Na (0.674, 0.016, 0.916)
Na (0.682, 0.683, 0.252)
Na (0.683, 0.017, 0.419)
Na (0.683, 0.682, 0.751)
Na (0.688, 0.345, 0.081)
Na (0.693, 0.348, 0.581)
Na (0.818, 0.515, 0.169)
Na (0.865, 0.199, 0.169)
Na (0.866, 0.833, 0.169)
Nb (0.184, 0.183, 0.894)
Nb (0.681, 0.682, 0.397)
Nb (0.684, 0.683, 0.894)
Al (0.177, 0.517, 0.565)
Al (0.178, 0.516, 0.065)
Al (0.180, 0.847, 0.438)
Al (0.181, 0.183, 0.600)
Al (0.182, 0.183, 0.102)
Al (0.183, 0.516, 0.773)
Al (0.183, 0.849, 0.734)
Al (0.185, 0.850, 0.235)
Al (0.186, 0.846, 0.937)
Al (0.187, 0.518, 0.273)
Al (0.189, 0.182, 0.400)
Al (0.675, 0.016, 0.273)
Al (0.678, 0.016, 0.065)
Al (0.680, 0.348, 0.235)
Al (0.683, 0.016, 0.773)
Al (0.683, 0.349, 0.734)
Al (0.683, 0.683, 0.102)
Al (0.684, 0.683, 0.602)
Al (0.686, 0.346, 0.937)
Al (0.687, 0.347, 0.438)
Al (0.691, 0.017, 0.565)
P (0.032, 0.987, 0.834)
P (0.034, 0.327, 0.501)
P (0.035, 0.038, 0.501)
P (0.039, 0.372, 0.169)
P (0.040, 0.659, 0.169)
P (0.052, 0.705, 0.833)
P (0.316, 0.706, 0.334)
P (0.326, 0.372, 0.668)
P (0.326, 0.659, 0.668)
P (0.330, 0.329, 0.005)
P (0.331, 0.993, 0.336)
P (0.333, 0.035, 0.004)
P (0.386, 0.684, 0.005)
P (0.396, 0.016, 0.668)
P (0.396, 0.349, 0.336)
P (0.464, 0.856, 0.834)
P (0.470, 0.516, 0.168)
P (0.475, 0.182, 0.502)
P (0.532, 0.487, 0.834)
P (0.535, 0.830, 0.505)
P (0.536, 0.535, 0.505)
P (0.539, 0.159, 0.168)
P (0.540, 0.872, 0.168)
P (0.552, 0.205, 0.833)
P (0.823, 0.204, 0.335)
P (0.826, 0.159, 0.669)
P (0.826, 0.873, 0.669)
P (0.829, 0.489, 0.333)
P (0.830, 0.829, 0.005)
P (0.833, 0.535, 0.004)
P (0.886, 0.184, 0.005)
P (0.897, 0.516, 0.669)
P (0.899, 0.852, 0.333)
P (0.964, 0.356, 0.834)
P (0.971, 0.016, 0.168)
P (0.979, 0.683, 0.505)
O (0.000, 0.868, 0.390)
O (0.005, 0.194, 0.341)
O (0.006, 0.860, 0.675)
O (0.007, 0.170, 0.661)
O (0.007, 0.500, 0.327)
O (0.007, 0.840, 0.996)
O (0.009, 0.528, 0.010)
O (0.061, 0.598, 0.225)
O (0.063, 0.270, 0.560)
O (0.063, 0.434, 0.113)
O (0.065, 0.096, 0.443)
O (0.066, 0.934, 0.894)
O (0.068, 0.762, 0.775)
O (0.071, 0.268, 0.840)
O (0.074, 0.436, 0.827)
O (0.077, 0.597, 0.510)
O (0.077, 0.768, 0.495)
O (0.078, 0.100, 0.161)
O (0.078, 0.931, 0.175)
O (0.110, 0.949, 0.776)
O (0.111, 0.084, 0.840)
O (0.112, 0.755, 0.175)
O (0.113, 0.276, 0.161)
O (0.115, 0.420, 0.509)
O (0.115, 0.944, 0.494)
O (0.116, 0.079, 0.559)
O (0.116, 0.285, 0.444)
O (0.116, 0.749, 0.891)
O (0.117, 0.412, 0.227)
O (0.118, 0.610, 0.827)
O (0.120, 0.618, 0.112)
O (0.246, 0.415, 0.724)
O (0.246, 0.617, 0.612)
O (0.248, 0.610, 0.327)
O (0.249, 0.750, 0.391)
O (0.250, 0.952, 0.277)
O (0.251, 0.078, 0.061)
O (0.251, 0.087, 0.342)
O (0.251, 0.943, 0.995)
O (0.253, 0.276, 0.661)
O (0.253, 0.285, 0.947)
O (0.254, 0.755, 0.675)
O (0.256, 0.424, 0.010)
O (0.287, 0.265, 0.342)
O (0.287, 0.768, 0.995)
O (0.288, 0.100, 0.661)
O (0.288, 0.433, 0.328)
O (0.288, 0.932, 0.675)
O (0.290, 0.597, 0.011)
O (0.298, 0.762, 0.275)
O (0.300, 0.935, 0.394)
O (0.302, 0.096, 0.947)
O (0.302, 0.270, 0.062)
O (0.305, 0.598, 0.725)
O (0.306, 0.431, 0.610)
O (0.357, 0.501, 0.828)
O (0.358, 0.525, 0.510)
O (0.358, 0.839, 0.496)
O (0.359, 0.170, 0.161)
O (0.360, 0.861, 0.176)
O (0.366, 0.535, 0.224)
O (0.366, 0.866, 0.891)
O (0.367, 0.196, 0.840)
O (0.368, 0.163, 0.447)
O (0.371, 0.835, 0.775)
O (0.372, 0.497, 0.110)
O (0.373, 0.201, 0.561)
O (0.490, 0.699, 0.062)
O (0.493, 0.333, 0.276)
O (0.494, 0.665, 0.948)
O (0.494, 0.997, 0.610)
O (0.497, 0.365, 0.393)
O (0.499, 0.695, 0.340)
O (0.500, 0.035, 0.724)
O (0.506, 0.361, 0.675)
O (0.506, 0.671, 0.661)
O (0.507, 0.002, 0.328)
O (0.507, 0.340, 0.996)
O (0.509, 0.028, 0.010)
O (0.561, 0.098, 0.225)
O (0.561, 0.933, 0.112)
O (0.564, 0.595, 0.447)
O (0.565, 0.434, 0.894)
O (0.565, 0.770, 0.562)
O (0.568, 0.262, 0.775)
O (0.570, 0.768, 0.840)
O (0.573, 0.936, 0.827)
O (0.574, 0.096, 0.510)
O (0.574, 0.268, 0.494)
O (0.577, 0.431, 0.175)
O (0.578, 0.600, 0.161)
O (0.610, 0.441, 0.496)
O (0.610, 0.449, 0.776)
O (0.610, 0.584, 0.840)
O (0.610, 0.924, 0.510)
O (0.611, 0.579, 0.562)
O (0.612, 0.255, 0.176)
O (0.612, 0.776, 0.161)
O (0.612, 0.785, 0.447)
O (0.616, 0.249, 0.891)
O (0.618, 0.110, 0.827)
O (0.620, 0.118, 0.112)
O (0.621, 0.914, 0.225)
O (0.746, 0.118, 0.612)
O (0.746, 0.913, 0.725)
O (0.750, 0.249, 0.391)
O (0.751, 0.443, 0.995)
O (0.751, 0.578, 0.061)
O (0.753, 0.785, 0.947)
O (0.754, 0.255, 0.675)
O (0.754, 0.585, 0.339)
O (0.754, 0.776, 0.661)
O (0.755, 0.108, 0.327)
O (0.756, 0.450, 0.274)
O (0.757, 0.924, 0.011)
O (0.787, 0.268, 0.995)
O (0.788, 0.432, 0.675)
O (0.789, 0.600, 0.661)
O (0.790, 0.097, 0.011)
O (0.793, 0.767, 0.339)
O (0.795, 0.936, 0.327)
O (0.802, 0.431, 0.390)
O (0.802, 0.596, 0.947)
O (0.802, 0.770, 0.062)
O (0.804, 0.263, 0.276)
O (0.804, 0.933, 0.612)
O (0.805, 0.098, 0.725)
O (0.857, 0.001, 0.828)
O (0.857, 0.337, 0.494)
O (0.858, 0.029, 0.509)
O (0.859, 0.360, 0.175)
O (0.859, 0.670, 0.161)
O (0.866, 0.366, 0.891)
O (0.867, 0.696, 0.840)
O (0.870, 0.034, 0.226)
O (0.870, 0.997, 0.111)
O (0.871, 0.335, 0.775)
O (0.871, 0.667, 0.447)
O (0.875, 0.698, 0.562)
O (0.990, 0.198, 0.062)
O (0.994, 0.165, 0.948)
O (0.995, 0.835, 0.274)
O (0.998, 0.496, 0.612)
O (0.998, 0.536, 0.725)

- Space group: P1 (1)
- E (MP2020): -1731.668 eV per cell

***

(6)
Density functional theory data (PBE-GGA) for a relaxed structure of SnPPt5.

abc: 3.996 3.996 7.160
angles: 90.00 90.00 90.00
Element x y z (fractional)
Sn (0.000, 0.000, 0.000)
P (0.500, 0.500, 0.500)
Pt (0.000, 0.500, 0.300)
Pt (0.000, 0.500, 0.700)
Pt (0.500, 0.000, 0.300)
Pt (0.500, 0.000, 0.700)
Pt (0.500, 0.500, 0.000)

- Space group: P4/mmm (123)

***

(7)
Density functional theory data (PBE-GGA) for a relaxed structure of CrN2.

abc: 5.268 5.965 5.580
angles: 90.00 108.21 90.00
Element x y z (fractional)
Cr (0.000, 0.000, 0.000)
Cr (0.014, 0.500, 0.991)
Cr (0.422, 0.000, 0.689)
Cr (0.492, 0.500, 0.465)
N (0.309, 0.000, 0.952)
N (0.347, 0.256, 0.542)
N (0.347, 0.744, 0.542)
N (0.386, 0.500, 0.145)
N (0.766, 0.000, 0.719)
N (0.833, 0.500, 0.668)
N (0.934, 0.261, 0.124)
N (0.934, 0.739, 0.124)

- Space group: Pm (6)
- E (MP2020): -103.819 eV per cell

***

(8)
Density functional theory data (PBE-GGA) for a relaxed structure of La2MgS4.

abc: 14.292 8.403 6.671
angles: 90.00 90.00 90.00
Element x y z (fractional)
La (0.000, 0.000, 0.000)
La (0.000, 0.500, 0.000)
La (0.229, 0.250, 0.498)
La (0.271, 0.750, 0.998)
La (0.500, 0.000, 0.500)
La (0.500, 0.500, 0.500)
La (0.729, 0.250, 0.002)
La (0.771, 0.750, 0.502)
Mg (0.093, 0.750, 0.424)
Mg (0.407, 0.250, 0.924)
Mg (0.593, 0.750, 0.076)
Mg (0.907, 0.250, 0.576)
S (0.064, 0.250, 0.740)
S (0.093, 0.750, 0.786)
S (0.166, 0.521, 0.252)
S (0.166, 0.979, 0.252)
S (0.334, 0.021, 0.752)
S (0.334, 0.479, 0.752)
S (0.407, 0.250, 0.286)
S (0.436, 0.750, 0.240)
S (0.564, 0.250, 0.760)
S (0.593, 0.750, 0.714)
S (0.666, 0.521, 0.248)
S (0.666, 0.979, 0.248)
S (0.834, 0.021, 0.748)
S (0.834, 0.479, 0.748)
S (0.907, 0.250, 0.214)
S (0.936, 0.750, 0.260)

- E above lowest polymorph: 0.0 kJ per mole of atoms
- Space group: Pnma (62)
- E (MP2020): -173.920 eV per cell

***

We obtain total energy values of -107.09 -37.43 -30.85 -28.86 -544.25 -42.42 -25.23 -41.47 eV per formula unit for the records listed above, in that order.
We obtain ΔE_f values of -3.326 -1.446 -0.369 0.175 -2.887 -0.377 0.124 -2.209 eV/atom for the records listed above, in that order.